(1)
# Cs2HgI4 PBE optimized geometry
data_Cs2HgI4
_cell_length_a 8.1414
_cell_length_b 8.6150
_cell_length_c 11.2866
_cell_angle_alpha 90.00
_cell_angle_beta 110.04
_cell_angle_gamma 90.00
_symmetry_space_group_name_H-M 'P 1 21/m 1'
_symmetry_Int_Tables_number 11
loop_
_symmetry_equiv_pos_as_xyz
'x,y,z'
'-x,-y,-z'
'-x,y+1/2,-z'
'x,-y+1/2,z'
loop_
_atom_site_label
_atom_site_fract_x
_atom_site_fract_y
_atom_site_fract_z
Cs1 0.1977 0.2500 0.0349
Cs2 0.2998 0.2500 0.5903
Hg1 0.1849 0.7500 0.7765
I1 0.0395 0.5137 0.2852
I2 0.3561 0.7500 0.0465
I3 0.4247 0.7500 0.6448
# * energy relative to the elements: -1.265 eV per atom
# * E: -2.219 eV/atom
# * total energy after the MP2020 corrections: -2.436 eV per atom

(2)
# Y6NiBr10 PBE optimized geometry
data_Y6NiBr10
_cell_length_a 7.3421
_cell_length_b 9.1611
_cell_length_c 9.1858
_cell_angle_alpha 108.38
_cell_angle_beta 97.03
_cell_angle_gamma 105.78
_symmetry_space_group_name_H-M 'P -1'
_symmetry_Int_Tables_number 2
loop_
_symmetry_equiv_pos_as_xyz
'x,y,z'
'-x,-y,-z'
loop_
_atom_site_label
_atom_site_fract_x
_atom_site_fract_y
_atom_site_fract_z
Y1 0.0260 0.2028 0.4059
Y2 0.1216 0.5430 0.2545
Y3 0.3586 0.6358 0.6774
Ni1 0.0000 0.5000 0.5000
Br1 0.0866 0.8711 0.3244
Br2 0.2122 0.2384 0.1483
Br3 0.2573 0.5860 0.9625
Br4 0.3604 0.9608 0.7752
Br5 0.4511 0.3211 0.5871
# * energy relative to the elements: -1.903 eV per atom
# * E: -5.175 eV/atom
# * total energy after the MP2020 corrections: -5.489 eV per atom

(3)
# Eu2Br2F PBE optimized geometry
data_Eu2Br2F
_cell_length_a 5.9692
_cell_length_b 5.9692
_cell_length_c 13.7528
_cell_angle_alpha 90.00
_cell_angle_beta 90.00
_cell_angle_gamma 90.00
_symmetry_space_group_name_H-M 'P 4/m m m'
_symmetry_Int_Tables_number 123
_symmetry_space_group_name_Hall '-P 4 2'
loop_
_atom_site_label
_atom_site_fract_x
_atom_site_fract_y
_atom_site_fract_z
Eu1 0.0000 0.0000 0.1686
Br1 0.0000 0.0000 0.3646
F1 0.0000 0.0000 0.0000
# * energy relative to the elements: -1.536 eV per atom
# * E: -6.584 eV/atom
# * total energy after the MP2020 corrections: -6.676 eV per atom

(4)
# BaMg6C PBE optimized geometry
data_BaMg6C
_cell_length_a 3.6725
_cell_length_b 5.7571
_cell_length_c 20.4255
_cell_angle_alpha 90.00
_cell_angle_beta 90.00
_cell_angle_gamma 90.00
_symmetry_space_group_name_H-M 'A m m 2'
_symmetry_Int_Tables_number 38
loop_
_symmetry_equiv_pos_as_xyz
'x,y,z'
'-x,-y,z'
'-x,y,z'
'x,-y,z'
'x,y+1/2,z+1/2'
'-x,-y+1/2,z+1/2'
'-x,y+1/2,z+1/2'
'x,-y+1/2,z+1/2'
loop_
_atom_site_label
_atom_site_fract_x
_atom_site_fract_y
_atom_site_fract_z
Ba1 0.0000 0.0000 0.0000
Mg1 0.0000 0.2484 0.2435
Mg2 0.5000 0.0000 0.1469
Mg3 0.5000 0.0000 0.6183
Mg4 0.5000 0.2306 0.3561
C1 0.0000 0.0000 0.3316
# * energy relative to the elements: 0.336 eV per atom
# * E: -2.257 eV/atom
# * E above lowest polymorph: 54 meV/atom